# 1
Rb8Zr6BeBr20 | GGA-PBE | optimized geometry

The structure in POSCAR format:
```
Rb8Zr6BeBr20
1.0
0.000 8.524 8.524
8.524 0.000 8.524
8.524 8.524 0.000
Rb Zr Be Br
8 6 1 20
Direct
0.139 0.139 0.139
0.139 0.139 0.582
0.139 0.582 0.139
0.418 0.861 0.861
0.582 0.139 0.139
0.861 0.418 0.861
0.861 0.861 0.418
0.861 0.861 0.861
0.359 0.359 0.641
0.359 0.641 0.359
0.359 0.641 0.641
0.641 0.359 0.359
0.641 0.359 0.641
0.641 0.641 0.359
0.500 0.500 0.500
0.179 0.500 0.500
0.179 0.500 0.821
0.179 0.821 0.500
0.188 0.188 0.812
0.188 0.812 0.188
0.188 0.812 0.812
0.250 0.250 0.250
0.500 0.179 0.500
0.500 0.179 0.821
0.500 0.500 0.179
0.500 0.500 0.821
0.500 0.821 0.179
0.500 0.821 0.500
0.750 0.750 0.750
0.812 0.188 0.188
0.812 0.188 0.812
0.812 0.812 0.188
0.821 0.179 0.500
0.821 0.500 0.179
0.821 0.500 0.500
```

=====

# 2
LiBeH8CNOF4 | GGA-PBE | optimized geometry

The structure in POSCAR format:
```
LiBeH8CNOF4
1.0
12.679 0.000 0.000
0.000 4.920 0.000
-1.849 0.000 9.962
Li Be H C N O F
4 4 32 4 4 4 16
Direct
0.004 0.185 0.353
0.004 0.315 0.853
0.996 0.685 0.147
0.996 0.815 0.647
0.132 0.193 0.127
0.132 0.307 0.627
0.868 0.693 0.373
0.868 0.807 0.873
0.171 0.722 0.455
0.171 0.778 0.955
0.217 0.615 0.832
0.217 0.885 0.332
0.224 0.544 0.339
0.224 0.956 0.839
0.340 0.572 0.044
0.340 0.928 0.544
0.348 0.564 0.552
0.348 0.936 0.052
0.377 0.237 0.242
0.377 0.263 0.742
0.400 0.744 0.424
0.400 0.756 0.924
0.486 0.100 0.751
0.486 0.400 0.251
0.514 0.600 0.749
0.514 0.900 0.249
0.600 0.244 0.076
0.600 0.256 0.576
0.623 0.737 0.258
0.623 0.763 0.758
0.652 0.064 0.948
0.652 0.436 0.448
0.660 0.072 0.456
0.660 0.428 0.956
0.776 0.044 0.161
0.776 0.456 0.661
0.783 0.115 0.668
0.783 0.385 0.168
0.829 0.222 0.045
0.829 0.278 0.545
0.337 0.741 0.485
0.337 0.759 0.985
0.663 0.241 0.015
0.663 0.259 0.515
0.230 0.721 0.396
0.230 0.779 0.896
0.770 0.221 0.104
0.770 0.279 0.604
0.455 0.215 0.250
0.455 0.285 0.750
0.545 0.715 0.250
0.545 0.785 0.750
0.035 0.183 0.687
0.035 0.317 0.187
0.118 0.625 0.618
0.118 0.875 0.118
0.130 0.194 0.485
0.130 0.306 0.985
0.238 0.243 0.730
0.238 0.257 0.230
0.762 0.743 0.770
0.762 0.757 0.270
0.870 0.694 0.015
0.870 0.806 0.515
0.882 0.125 0.882
0.882 0.375 0.382
0.965 0.683 0.813
0.965 0.817 0.313
```

=====

# 3
BeH48C20I6N8O4 | GGA-PBE | optimized geometry

The structure in POSCAR format:
```
BeH48C20I6N8O4
1.0
9.958 -6.089 0.000
9.958 6.089 0.000
-7.326 0.000 18.434
Be H C I N O
2 96 40 12 16 8
Direct
0.006 0.994 0.750
0.994 0.006 0.250
0.008 0.226 0.169
0.015 0.817 0.363
0.024 0.607 0.829
0.033 0.597 0.163
0.034 0.228 0.807
0.039 0.500 0.307
0.041 0.887 0.458
0.055 0.833 0.617
0.062 0.493 0.639
0.102 0.669 0.250
0.113 0.959 0.042
0.116 0.714 0.428
0.126 0.296 0.222
0.137 0.431 0.722
0.151 0.683 0.565
0.163 0.730 0.981
0.167 0.945 0.883
0.172 0.618 0.028
0.183 0.985 0.137
0.226 0.008 0.669
0.227 0.768 0.863
0.228 0.034 0.307
0.232 0.773 0.637
0.245 0.493 0.108
0.252 0.471 0.619
0.270 0.837 0.519
0.280 0.507 0.716
0.286 0.884 0.072
0.296 0.126 0.722
0.301 0.535 0.204
0.317 0.849 0.935
0.318 0.639 0.032
0.331 0.898 0.250
0.342 0.591 0.144
0.351 0.561 0.671
0.361 0.682 0.468
0.382 0.828 0.472
0.393 0.976 0.671
0.403 0.967 0.337
0.409 0.658 0.356
0.431 0.137 0.222
0.439 0.649 0.829
0.465 0.699 0.296
0.471 0.252 0.119
0.493 0.062 0.139
0.493 0.245 0.608
0.493 0.720 0.784
0.500 0.039 0.807
0.500 0.961 0.193
0.507 0.280 0.216
0.507 0.755 0.392
0.507 0.938 0.861
0.529 0.748 0.881
0.535 0.301 0.704
0.561 0.351 0.171
0.569 0.863 0.778
0.591 0.342 0.644
0.597 0.033 0.663
0.607 0.024 0.329
0.618 0.172 0.528
0.639 0.318 0.532
0.649 0.439 0.329
0.658 0.409 0.856
0.669 0.102 0.750
0.682 0.361 0.968
0.683 0.151 0.065
0.699 0.465 0.796
0.704 0.874 0.278
0.714 0.116 0.928
0.720 0.493 0.284
0.730 0.163 0.481
0.748 0.529 0.381
0.755 0.507 0.892
0.768 0.227 0.363
0.772 0.966 0.693
0.773 0.232 0.137
0.774 0.992 0.331
0.817 0.015 0.863
0.828 0.382 0.972
0.833 0.055 0.117
0.837 0.270 0.019
0.849 0.317 0.435
0.863 0.569 0.278
0.874 0.704 0.778
0.884 0.286 0.572
0.887 0.041 0.958
0.898 0.331 0.750
0.938 0.507 0.361
0.945 0.167 0.383
0.959 0.113 0.542
0.961 0.500 0.693
0.966 0.772 0.193
0.967 0.403 0.837
0.976 0.393 0.171
0.985 0.183 0.637
0.992 0.774 0.831
0.021 0.315 0.203
0.053 0.508 0.695
0.056 0.683 0.194
0.066 0.723 0.713
0.086 0.809 0.414
0.126 0.805 0.145
0.147 0.746 0.619
0.191 0.914 0.086
0.195 0.874 0.355
0.211 0.689 0.031
0.254 0.853 0.881
0.264 0.545 0.668
0.265 0.571 0.153
0.277 0.934 0.787
0.311 0.789 0.469
0.315 0.021 0.703
0.317 0.944 0.306
0.429 0.735 0.347
0.455 0.736 0.832
0.492 0.947 0.805
0.508 0.053 0.195
0.545 0.264 0.168
0.571 0.265 0.653
0.683 0.056 0.694
0.685 0.979 0.297
0.689 0.211 0.531
0.723 0.066 0.213
0.735 0.429 0.847
0.736 0.455 0.332
0.746 0.147 0.119
0.789 0.311 0.969
0.805 0.126 0.645
0.809 0.086 0.914
0.853 0.254 0.381
0.874 0.195 0.855
0.914 0.191 0.586
0.934 0.277 0.287
0.944 0.317 0.806
0.947 0.492 0.305
0.979 0.685 0.797
0.182 0.218 0.025
0.218 0.182 0.525
0.290 0.296 0.441
0.296 0.290 0.941
0.370 0.405 0.354
0.405 0.370 0.854
0.595 0.630 0.146
0.630 0.595 0.646
0.704 0.710 0.059
0.710 0.704 0.559
0.782 0.818 0.475
0.818 0.782 0.975
0.043 0.639 0.736
0.147 0.692 0.161
0.152 0.671 0.668
0.182 0.798 0.093
0.202 0.818 0.407
0.308 0.853 0.339
0.329 0.848 0.832
0.361 0.957 0.764
0.639 0.043 0.236
0.671 0.152 0.168
0.692 0.147 0.661
0.798 0.182 0.593
0.818 0.202 0.907
0.848 0.329 0.332
0.853 0.308 0.839
0.957 0.361 0.264
0.007 0.847 0.735
0.055 0.919 0.177
0.081 0.945 0.323
0.153 0.993 0.765
0.847 0.007 0.235
0.919 0.055 0.677
0.945 0.081 0.823
0.993 0.153 0.265
```

=====

# 4
NaBeHCO5 | GGA-PBE | optimized geometry

The structure in POSCAR format:
```
NaBeHCO5
1.0
13.181 0.000 0.000
0.000 13.181 0.000
0.000 0.000 5.452
Na Be H C O
8 8 8 8 40
Direct
0.087 0.399 0.000
0.087 0.601 0.500
0.399 0.087 0.500
0.399 0.913 0.000
0.601 0.087 0.000
0.601 0.913 0.500
0.913 0.399 0.500
0.913 0.601 0.000
0.343 0.343 0.250
0.343 0.343 0.750
0.343 0.657 0.250
0.343 0.657 0.750
0.657 0.343 0.250
0.657 0.343 0.750
0.657 0.657 0.250
0.657 0.657 0.750
0.381 0.473 0.000
0.381 0.527 0.500
0.473 0.381 0.500
0.473 0.619 0.000
0.527 0.381 0.000
0.527 0.619 0.500
0.619 0.473 0.500
0.619 0.527 0.000
0.176 0.381 0.500
0.176 0.619 0.000
0.381 0.176 0.000
0.381 0.824 0.500
0.619 0.176 0.500
0.619 0.824 0.000
0.824 0.381 0.000
0.824 0.619 0.500
0.078 0.209 0.000
0.078 0.791 0.500
0.085 0.416 0.500
0.085 0.584 0.000
0.209 0.078 0.500
0.209 0.922 0.000
0.221 0.364 0.292
0.221 0.364 0.708
0.221 0.636 0.208
0.221 0.636 0.792
0.364 0.221 0.208
0.364 0.221 0.792
0.364 0.779 0.292
0.364 0.779 0.708
0.384 0.398 0.000
0.384 0.602 0.500
0.398 0.384 0.500
0.398 0.616 0.000
0.416 0.085 0.000
0.416 0.915 0.500
0.584 0.085 0.500
0.584 0.915 0.000
0.602 0.384 0.000
0.602 0.616 0.500
0.616 0.398 0.500
0.616 0.602 0.000
0.636 0.221 0.292
0.636 0.221 0.708
0.636 0.779 0.208
0.636 0.779 0.792
0.779 0.364 0.208
0.779 0.364 0.792
0.779 0.636 0.292
0.779 0.636 0.708
0.791 0.078 0.000
0.791 0.922 0.500
0.915 0.416 0.000
0.915 0.584 0.500
0.922 0.209 0.500
0.922 0.791 0.000
```

=====

E (MP2020) for the records above, in order: -160.07; -359.81; -946.32; -461.73 eV per cell
VASP energy for the records above, in order: -4.2683; -5.1422; -5.4071; -6.0312 eV/atom
Energy relative to the elements for the records above, in order: -1.84; -1.59; -0.30; -1.70 eV/atom